Sm2In | GGA-PBE | optimized geometry

abc: 5.548 5.548 6.912
angles: 90.00 90.00 120.00
Atoms (fractional coordinates):
Sm  0.000  0.000  0.000
Sm  0.000  0.000  0.500
Sm  0.333  0.667  0.250
Sm  0.667  0.333  0.750
In  0.333  0.667  0.750
In  0.667  0.333  0.250

---

CsThO3 | GGA-PBE | optimized geometry

abc: 4.575 4.575 4.575
angles: 90.00 90.00 90.00
Atoms (fractional coordinates):
Cs  0.000  0.000  0.000
Th  0.500  0.500  0.500
O  0.000  0.500  0.500
O  0.500  0.000  0.500
O  0.500  0.500  0.000

---

CrGeN2 | GGA-PBE | optimized geometry

abc: 5.502 6.675 5.284
angles: 90.00 90.00 90.00
Atoms (fractional coordinates):
Cr  0.071  0.117  0.000
Cr  0.429  0.617  0.500
Cr  0.571  0.383  0.000
Cr  0.929  0.883  0.500
Ge  0.068  0.623  0.997
Ge  0.432  0.123  0.497
Ge  0.568  0.877  0.997
Ge  0.932  0.377  0.497
N  0.070  0.610  0.355
N  0.103  0.145  0.387
N  0.397  0.645  0.887
N  0.430  0.110  0.855
N  0.570  0.890  0.355
N  0.603  0.355  0.387
N  0.897  0.855  0.887
N  0.930  0.390  0.855

---

Tm2NiOs | GGA-PBE | optimized geometry

abc: 4.723 4.723 4.723
angles: 60.00 60.00 60.00
Atoms (fractional coordinates):
Tm  0.250  0.250  0.250
Tm  0.750  0.750  0.750
Ni  0.000  0.000  0.000
Os  0.500  0.500  0.500

---

HoCuSi | GGA-PBE | optimized geometry

abc: 4.139 4.139 7.412
angles: 90.00 90.00 120.00
Atoms (fractional coordinates):
Ho  0.000  0.000  0.000
Ho  0.000  0.000  0.500
Cu  0.333  0.667  0.250
Cu  0.667  0.333  0.750
Si  0.333  0.667  0.750
Si  0.667  0.333  0.250

---

ZnSnP2 | GGA-PBE | optimized geometry

abc: 6.999 6.999 6.999
angles: 131.88 131.88 70.41
Atoms (fractional coordinates):
Zn  0.000  0.000  0.000
Zn  0.750  0.250  0.500
Sn  0.250  0.750  0.500
Sn  0.500  0.500  0.000
P  0.103  0.625  0.978
P  0.375  0.353  0.478
P  0.647  0.125  0.022
P  0.875  0.897  0.522

Results
- Energy above the most stable polymorph in this dataset: 0 meV per atom
- Piezoelectric modulus e_max: 0.09 C/m2

---

PrPbAu2 | GGA-PBE | optimized geometry

abc: 5.173 5.173 5.173
angles: 60.00 60.00 60.00
Atoms (fractional coordinates):
Pr  0.000  0.000  0.000
Pb  0.500  0.500  0.500
Au  0.250  0.250  0.250
Au  0.750  0.750  0.750

---

K6OsN4 | GGA-PBE | optimized geometry

abc: 8.780 8.780 7.698
angles: 90.00 90.00 90.00
Atoms (fractional coordinates):
K  0.024  0.524  0.250
K  0.024  0.976  0.250
K  0.250  0.250  0.020
K  0.250  0.250  0.520
K  0.476  0.524  0.250
K  0.476  0.976  0.250
K  0.524  0.024  0.750
K  0.524  0.476  0.750
K  0.750  0.750  0.480
K  0.750  0.750  0.980
K  0.976  0.024  0.750
K  0.976  0.476  0.750
Os  0.250  0.750  0.750
Os  0.750  0.250  0.250
N  0.077  0.750  0.882
N  0.250  0.577  0.618
N  0.250  0.923  0.618
N  0.423  0.750  0.882
N  0.577  0.250  0.118
N  0.750  0.077  0.382
N  0.750  0.423  0.382
N  0.923  0.250  0.118

---

Hg3Cl2O2 | GGA-PBE | optimized geometry

abc: 11.163 9.623 11.832
angles: 90.00 108.93 90.00
Atoms (fractional coordinates):
Hg  0.039  0.192  0.133
Hg  0.039  0.308  0.633
Hg  0.114  0.614  0.129
Hg  0.114  0.886  0.629
Hg  0.221  0.600  0.885
Hg  0.221  0.900  0.385
Hg  0.307  0.518  0.424
Hg  0.307  0.982  0.924
Hg  0.423  0.054  0.223
Hg  0.423  0.446  0.723
Hg  0.424  0.173  0.506
Hg  0.424  0.327  0.006
Hg  0.576  0.673  0.994
Hg  0.576  0.827  0.494
Hg  0.577  0.554  0.277
Hg  0.577  0.946  0.777
Hg  0.693  0.018  0.076
Hg  0.693  0.482  0.576
Hg  0.779  0.100  0.615
Hg  0.779  0.400  0.115
Hg  0.886  0.114  0.371
Hg  0.886  0.386  0.871
Hg  0.961  0.692  0.367
Hg  0.961  0.808  0.867
Cl  0.138  0.530  0.626
Cl  0.138  0.970  0.126
Cl  0.143  0.230  0.373
Cl  0.143  0.270  0.873
Cl  0.320  0.122  0.685
Cl  0.320  0.378  0.185
Cl  0.379  0.741  0.103
Cl  0.379  0.759  0.603
Cl  0.621  0.241  0.397
Cl  0.621  0.259  0.897
Cl  0.680  0.622  0.815
Cl  0.680  0.878  0.315
Cl  0.857  0.730  0.127
Cl  0.857  0.770  0.627
Cl  0.862  0.030  0.874
Cl  0.862  0.470  0.374
O  0.053  0.615  0.939
O  0.053  0.885  0.439
O  0.168  0.649  0.314
O  0.168  0.851  0.814
O  0.399  0.511  0.884
O  0.399  0.989  0.384
O  0.440  0.105  0.056
O  0.440  0.395  0.556
O  0.560  0.605  0.444
O  0.560  0.895  0.944
O  0.601  0.011  0.616
O  0.601  0.489  0.116
O  0.832  0.149  0.186
O  0.832  0.351  0.686
O  0.947  0.115  0.561
O  0.947  0.385  0.061

Results
- Energy above the most stable polymorph in this dataset: 0 meV per atom

---

K2MgB12H20O30 | GGA-PBE | optimized geometry

abc: 7.617 7.877 10.940
angles: 108.55 94.56 91.83
Atoms (fractional coordinates):
K  0.237  0.367  0.402
K  0.763  0.633  0.598
Mg  0.500  0.000  0.000
B  0.041  0.241  0.956
B  0.142  0.846  0.556
B  0.167  0.985  0.795
B  0.333  0.300  0.884
B  0.370  0.105  0.647
B  0.385  0.432  0.708
B  0.615  0.568  0.292
B  0.630  0.895  0.353
B  0.667  0.700  0.116
B  0.833  0.015  0.205
B  0.858  0.154  0.444
B  0.959  0.759  0.044
H  0.104  0.692  0.368
H  0.113  0.570  0.943
H  0.198  0.030  0.129
H  0.215  0.812  0.897
H  0.216  0.534  0.141
H  0.307  0.715  0.238
H  0.369  0.023  0.218
H  0.375  0.695  0.736
H  0.379  0.948  0.402
H  0.479  0.642  0.961
H  0.521  0.358  0.039
H  0.621  0.052  0.598
H  0.625  0.305  0.264
H  0.631  0.977  0.782
H  0.693  0.285  0.762
H  0.784  0.466  0.859
H  0.785  0.188  0.103
H  0.802  0.970  0.871
H  0.887  0.430  0.057
H  0.896  0.308  0.632
O  0.033  0.065  0.882
O  0.063  0.706  0.454
O  0.081  0.866  0.674
O  0.094  0.700  0.965
O  0.176  0.362  0.956
O  0.222  0.614  0.231
O  0.275  0.958  0.541
O  0.278  0.133  0.771
O  0.290  0.886  0.858
O  0.323  0.075  0.150
O  0.366  0.269  0.613
O  0.389  0.447  0.838
O  0.399  0.582  0.669
O  0.445  0.934  0.325
O  0.471  0.252  0.966
O  0.529  0.748  0.034
O  0.555  0.066  0.675
O  0.601  0.418  0.331
O  0.611  0.553  0.162
O  0.634  0.731  0.387
O  0.677  0.925  0.850
O  0.710  0.114  0.142
O  0.722  0.867  0.229
O  0.725  0.042  0.459
O  0.778  0.386  0.769
O  0.824  0.638  0.044
O  0.906  0.300  0.035
O  0.919  0.134  0.326
O  0.937  0.294  0.546
O  0.967  0.935  0.118

---

Si4Te2H44PtC16Cl2 | GGA-PBE | optimized geometry

abc: 13.090 13.090 20.963
angles: 95.12 95.12 30.50
Atoms (fractional coordinates):
Si  0.105  0.744  0.613
Si  0.108  0.567  0.358
Si  0.256  0.895  0.887
Si  0.433  0.892  0.142
Si  0.567  0.108  0.858
Si  0.744  0.105  0.113
Si  0.892  0.433  0.642
Si  0.895  0.256  0.387
Te  0.127  0.199  0.006
Te  0.199  0.127  0.506
Te  0.801  0.873  0.494
Te  0.873  0.801  0.994
H  0.003  0.977  0.855
H  0.008  0.536  0.440
H  0.023  0.997  0.645
H  0.040  0.612  0.592
H  0.066  0.427  0.305
H  0.069  0.843  0.175
H  0.070  0.167  0.157
H  0.080  0.203  0.732
H  0.105  0.832  0.093
H  0.133  0.180  0.879
H  0.133  0.243  0.185
H  0.157  0.931  0.325
H  0.166  0.651  0.727
H  0.167  0.070  0.657
H  0.168  0.895  0.407
H  0.179  0.484  0.474
H  0.180  0.133  0.379
H  0.197  0.709  0.504
H  0.203  0.080  0.232
H  0.229  0.318  0.834
H  0.237  0.354  0.263
H  0.243  0.133  0.685
H  0.269  0.599  0.386
H  0.291  0.803  0.996
H  0.318  0.229  0.334
H  0.344  0.449  0.890
H  0.349  0.834  0.773
H  0.354  0.237  0.763
H  0.355  0.571  0.700
H  0.359  0.433  0.676
H  0.365  0.454  0.314
H  0.371  0.613  0.564
H  0.383  0.469  0.537
H  0.387  0.629  0.936
H  0.388  0.960  0.908
H  0.401  0.731  0.114
H  0.427  0.066  0.805
H  0.429  0.645  0.800
H  0.433  0.359  0.176
H  0.449  0.344  0.390
H  0.454  0.365  0.814
H  0.464  0.992  0.060
H  0.469  0.383  0.037
H  0.484  0.179  0.974
H  0.516  0.821  0.026
H  0.531  0.617  0.963
H  0.536  0.008  0.940
H  0.546  0.635  0.186
H  0.551  0.656  0.610
H  0.567  0.641  0.824
H  0.571  0.355  0.200
H  0.573  0.934  0.195
H  0.599  0.269  0.886
H  0.612  0.040  0.092
H  0.613  0.371  0.064
H  0.617  0.531  0.463
H  0.629  0.387  0.436
H  0.635  0.546  0.686
H  0.641  0.567  0.324
H  0.645  0.429  0.300
H  0.646  0.763  0.237
H  0.651  0.166  0.227
H  0.656  0.551  0.110
H  0.682  0.771  0.666
H  0.709  0.197  0.004
H  0.731  0.401  0.614
H  0.757  0.867  0.315
H  0.763  0.646  0.737
H  0.771  0.682  0.166
H  0.797  0.920  0.768
H  0.803  0.291  0.496
H  0.820  0.867  0.621
H  0.821  0.516  0.526
H  0.832  0.105  0.593
H  0.833  0.930  0.343
H  0.834  0.349  0.273
H  0.843  0.069  0.675
H  0.867  0.757  0.815
H  0.867  0.820  0.121
H  0.895  0.168  0.907
H  0.920  0.797  0.268
H  0.930  0.833  0.843
H  0.931  0.157  0.825
H  0.934  0.573  0.695
H  0.960  0.388  0.408
H  0.977  0.003  0.355
H  0.992  0.464  0.560
H  0.997  0.023  0.145
Pt  0.000  0.500  0.000
Pt  0.500  0.000  0.500
C  0.003  0.934  0.133
C  0.046  0.585  0.442
C  0.052  0.240  0.411
C  0.066  0.997  0.367
C  0.117  0.186  0.683
C  0.186  0.117  0.183
C  0.191  0.375  0.311
C  0.240  0.052  0.911
C  0.260  0.585  0.686
C  0.280  0.623  0.548
C  0.317  0.484  0.363
C  0.375  0.191  0.811
C  0.377  0.720  0.952
C  0.415  0.740  0.814
C  0.415  0.954  0.058
C  0.484  0.317  0.863
C  0.516  0.683  0.137
C  0.585  0.046  0.942
C  0.585  0.260  0.186
C  0.623  0.280  0.048
C  0.625  0.809  0.189
C  0.683  0.516  0.637
C  0.720  0.377  0.452
C  0.740  0.415  0.314
C  0.760  0.948  0.089
C  0.809  0.625  0.689
C  0.814  0.883  0.817
C  0.883  0.814  0.317
C  0.934  0.003  0.633
C  0.948  0.760  0.589
C  0.954  0.415  0.558
C  0.997  0.066  0.867
Cl  0.178  0.402  0.094
Cl  0.402  0.178  0.594
Cl  0.598  0.822  0.406
Cl  0.822  0.598  0.906

---

CuS | GGA-PBE | optimized geometry

abc: 3.343 3.343 6.180
angles: 90.00 90.00 120.00
Atoms (fractional coordinates):
Cu  0.333  0.667  0.250
Cu  0.667  0.333  0.750
S  0.000  0.000  0.000
S  0.000  0.000  0.500

---

For each record above, in turn, the calculated electronic total energy values are -26.43; -35.92; -122.74; -27.51; -32.23; -33.72; -17.49; -99.22; -140.29; -418.39; -697.29; -16.10 eV/cell.